No. 1
VASP calculation (PBE-GGA) on crystalline Te3MoWSe at its relaxed geometry.

Properties
Theoretical density, g/cm³: 5.7
Distance to the lowest polymorph of the same formula, eV per atom: 0.0009
Energy, eV per atom: -6.396

POSCAR file:
```
Te3MoWSe
1.0
3.495 0.000 0.000
-1.748 3.027 0.000
0.000 0.000 40.609
Te Mo W Se
6 2 2 2
direct
0.000 0.000 0.000 Te
0.000 0.000 0.090 Te
0.000 0.000 0.375 Te
0.000 0.000 0.466 Te
0.667 0.333 0.188 Te
0.667 0.333 0.278 Te
0.000 0.000 0.233 Mo
0.667 0.333 0.045 Mo
0.000 0.000 0.609 W
0.667 0.333 0.421 W
0.667 0.333 0.569 Se
0.667 0.333 0.649 Se
```

No. 2
VASP calculation (PBE-GGA) on crystalline TeMoWSe3 at its relaxed geometry.

Properties
Theoretical density, g/cm³: 5.6
Distance to the lowest polymorph of the same formula, eV per atom: 0.0206
Energy, eV per atom: -6.712

POSCAR file:
```
TeMoWSe3
1.0
3.383 0.000 0.000
-1.691 2.930 0.000
0.000 0.000 38.472
Te Mo W Se
2 2 2 6
direct
0.000 0.000 0.000 Te
0.000 0.000 0.098 Te
0.000 0.000 0.237 Mo
0.667 0.333 0.673 Mo
0.000 0.000 0.861 W
0.667 0.333 0.049 W
0.000 0.000 0.630 Se
0.000 0.000 0.716 Se
0.667 0.333 0.194 Se
0.667 0.333 0.280 Se
0.667 0.333 0.818 Se
0.667 0.333 0.904 Se
```

No. 3
VASP calculation (PBE-GGA) on crystalline Te2MoWSe2 at its relaxed geometry.

Properties
Theoretical density, g/cm³: 5.7
Distance to the lowest polymorph of the same formula, eV per atom: 0.0192
Energy, eV per atom: -6.548

POSCAR file:
```
Te2MoWSe2
1.0
3.437 0.000 0.000
-1.719 2.977 0.000
0.000 0.000 39.141
Te Mo W Se
4 2 2 4
direct
0.000 0.000 0.000 Te
0.000 0.000 0.095 Te
0.333 0.667 0.812 Te
0.333 0.667 0.907 Te
0.000 0.000 0.484 Mo
0.000 0.000 0.860 Mo
0.333 0.667 0.048 W
0.333 0.667 0.672 W
0.000 0.000 0.630 Se
0.000 0.000 0.714 Se
0.333 0.667 0.442 Se
0.333 0.667 0.526 Se
```

No. 4
VASP calculation (PBE-GGA) on crystalline Te3MoWSe at its relaxed geometry.

Properties
Theoretical density, g/cm³: 5.9
Distance to the lowest polymorph of the same formula, eV per atom: 0.0200
Energy, eV per atom: -6.377

POSCAR file:
```
Te3MoWSe
1.0
3.500 0.000 0.000
-1.750 3.031 0.000
0.000 0.000 39.630
Te Mo W Se
6 2 2 2
direct
0.000 0.000 0.000 Te
0.000 0.000 0.092 Te
0.000 0.000 0.624 Te
0.000 0.000 0.717 Te
0.333 0.667 0.812 Te
0.333 0.667 0.905 Te
0.000 0.000 0.483 Mo
0.333 0.667 0.046 Mo
0.000 0.000 0.858 W
0.333 0.667 0.670 W
0.333 0.667 0.442 Se
0.333 0.667 0.523 Se
```

No. 5
VASP calculation (PBE-GGA) on crystalline TeMoWSe3 at its relaxed geometry.

Properties
Theoretical density, g/cm³: 5.6
Distance to the lowest polymorph of the same formula, eV per atom: 0.0003
Energy, eV per atom: -6.733

POSCAR file:
```
TeMoWSe3
1.0
3.379 0.000 0.000
-1.690 2.926 0.000
0.000 0.000 38.465
Te Mo W Se
2 2 2 6
direct
0.000 0.000 0.000 Te
0.000 0.000 0.098 Te
0.000 0.000 0.861 Mo
0.667 0.333 0.049 Mo
0.000 0.000 0.237 W
0.667 0.333 0.673 W
0.000 0.000 0.630 Se
0.000 0.000 0.716 Se
0.667 0.333 0.194 Se
0.667 0.333 0.280 Se
0.667 0.333 0.818 Se
0.667 0.333 0.904 Se
```

No. 6
VASP calculation (PBE-GGA) on crystalline Te4MoW3Se4 at its relaxed geometry.

Properties
Theoretical density, g/cm³: 6.1
Distance to the lowest polymorph of the same formula, eV per atom: 0.0197
Energy, eV per atom: -6.675

POSCAR file:
```
Te4MoW3Se4
1.0
3.440 0.000 0.000
-1.720 2.979 0.000
0.000 0.000 39.165
Te Mo W Se
4 1 3 4
direct
0.000 0.000 0.000 Te
0.000 0.000 0.095 Te
0.000 0.000 0.376 Te
0.000 0.000 0.471 Te
0.000 0.000 0.235 Mo
0.000 0.000 0.860 W
0.333 0.667 0.048 W
0.333 0.667 0.423 W
0.333 0.667 0.194 Se
0.333 0.667 0.277 Se
0.333 0.667 0.818 Se
0.333 0.667 0.902 Se
```

Please write out number 6 again, unchanged.
VASP calculation (PBE-GGA) on crystalline Te4MoW3Se4 at its relaxed geometry.

Properties
Theoretical density, g/cm³: 6.1
Distance to the lowest polymorph of the same formula, eV per atom: 0.0197
Energy, eV per atom: -6.675

POSCAR file:
```
Te4MoW3Se4
1.0
3.440 0.000 0.000
-1.720 2.979 0.000
0.000 0.000 39.165
Te Mo W Se
4 1 3 4
direct
0.000 0.000 0.000 Te
0.000 0.000 0.095 Te
0.000 0.000 0.376 Te
0.000 0.000 0.471 Te
0.000 0.000 0.235 Mo
0.000 0.000 0.860 W
0.333 0.667 0.048 W
0.333 0.667 0.423 W
0.333 0.667 0.194 Se
0.333 0.667 0.277 Se
0.333 0.667 0.818 Se
0.333 0.667 0.902 Se
```